VASP calculation (GGA-PBE) on Ho2FeSi4 after structural relaxation.

Cell and atoms, written as POSCAR:
```
Ho2FeSi4
1.0
-1.631 2.596 2.534
-1.323 -3.037 2.260
6.141 -1.351 5.338
Ho Fe Si
2 1 4
direct
0.250 0.606 0.788 Ho
0.750 0.389 0.222 Ho
0.250 0.250 0.500 Fe
0.250 0.961 0.078 Si
0.750 0.043 0.913 Si
0.250 0.808 0.384 Si
0.750 0.193 0.614 Si
```

Properties
Distance to the lowest polymorph of the same formula in eV per formula unit: 0.600
Total magnetization in μB/f.u.: 0.0

=====

VASP calculation (GGA-PBE) on Ho2Fe3Si5 after structural relaxation.

Cell and atoms, written as POSCAR:
```
Ho2Fe3Si5
1.0
-5.151 -8.675 -2.363
8.989 -5.032 -1.122
-0.110 -1.377 5.294
Ho Fe Si
8 12 20
direct
0.570 0.737 0.500 Ho
0.430 0.263 0.500 Ho
0.070 0.763 0.000 Ho
0.930 0.237 0.000 Ho
0.263 0.570 0.500 Ho
0.737 0.430 0.500 Ho
0.237 0.070 0.000 Ho
0.763 0.930 0.000 Ho
0.876 0.856 0.500 Fe
0.124 0.144 0.500 Fe
0.376 0.644 0.000 Fe
0.624 0.356 0.000 Fe
0.144 0.876 0.500 Fe
0.856 0.124 0.500 Fe
0.356 0.376 0.000 Fe
0.644 0.624 0.000 Fe
0.500 0.000 0.250 Fe
0.000 0.500 0.750 Fe
0.000 0.500 0.250 Fe
0.500 0.000 0.750 Fe
0.678 0.178 0.250 Si
0.322 0.822 0.250 Si
0.178 0.322 0.750 Si
0.822 0.678 0.750 Si
0.822 0.678 0.250 Si
0.178 0.322 0.250 Si
0.678 0.178 0.750 Si
0.322 0.822 0.750 Si
0.500 0.500 0.234 Si
0.000 0.000 0.734 Si
0.500 0.500 0.766 Si
0.000 0.000 0.266 Si
0.680 0.978 0.500 Si
0.320 0.022 0.500 Si
0.180 0.522 0.000 Si
0.820 0.478 0.000 Si
0.022 0.680 0.500 Si
0.978 0.320 0.500 Si
0.478 0.180 0.000 Si
0.522 0.820 0.000 Si
```

=====

no.,ΔH_f (0 K) (meV per atom)
1,-484
2,-661